Entry 1:
The following is a PBE calculation of CaPrAg2O6 after structural relaxation, from the Materials Project database.

The structure in POSCAR format:
```
CaPrAg2O6
1.0
5.641 0.000 0.000
0.000 5.935 0.000
0.000 0.000 7.995
Ag Pr O Ca
4 2 12 2
Direct
0.501 0.753 0.251 Ag
0.001 0.247 0.249 Ag
0.001 0.247 0.751 Ag
0.501 0.753 0.749 Ag
0.022 0.685 0.000 Pr
0.522 0.315 0.500 Pr
0.298 0.452 0.191 O
0.702 0.047 0.691 O
0.798 0.548 0.691 O
0.202 0.953 0.191 O
0.702 0.047 0.309 O
0.613 0.797 0.000 O
0.113 0.203 0.500 O
0.383 0.705 0.500 O
0.202 0.953 0.809 O
0.883 0.295 0.000 O
0.298 0.452 0.809 O
0.798 0.548 0.309 O
0.479 0.184 0.000 Ca
0.979 0.816 0.500 Ca
```

Output
space-group type = Pmn2_1



Entry 2:
The following is a PBE calculation of Sr2NbGaO6 after structural relaxation, from the Materials Project database.

The structure in POSCAR format:
```
Sr2NbGaO6
1.0
0.000 4.000 4.000
4.000 0.000 4.000
4.000 4.000 0.000
Ga O Nb Sr
1 6 1 2
Direct
0.500 0.500 0.500 Ga
0.251 0.749 0.749 O
0.749 0.251 0.749 O
0.251 0.251 0.749 O
0.749 0.251 0.251 O
0.749 0.749 0.251 O
0.251 0.749 0.251 O
0.000 0.000 0.000 Nb
0.750 0.750 0.750 Sr
0.250 0.250 0.250 Sr
```

Output
space-group type = Fm-3m



Entry 3:
The following is a PBE calculation of Dy2Si3 after structural relaxation, from the Materials Project database.

The structure in POSCAR format:
```
Dy2Si3
1.0
-1.945 1.995 6.873
1.945 -1.995 6.873
1.945 1.995 -6.873
Si Dy
3 2
Direct
0.968 0.468 0.500 Si
0.698 0.698 0.000 Si
0.798 0.298 0.500 Si
0.373 0.873 0.500 Dy
0.126 0.126 0.000 Dy
```

Output
space-group type = Imm2



Entry 4:
The following is a PBE calculation of Gd2Fe17N2 after structural relaxation, from the Materials Project database.

The structure in POSCAR format:
```
Gd2Fe17N2
1.0
-6.254 1.304 -0.564
-1.944 -3.327 5.126
-0.114 4.975 4.134
Fe N Gd
17 2 2
Direct
0.000 0.000 0.500 Fe
0.999 0.718 0.284 Fe
0.500 0.000 0.000 Fe
0.712 0.288 0.000 Fe
0.288 0.712 0.000 Fe
0.907 0.907 0.909 Fe
0.345 0.345 0.855 Fe
0.852 0.346 0.340 Fe
0.148 0.654 0.660 Fe
0.718 0.999 0.284 Fe
0.001 0.282 0.716 Fe
0.282 0.001 0.716 Fe
0.000 0.500 0.000 Fe
0.655 0.655 0.145 Fe
0.654 0.148 0.660 Fe
0.346 0.852 0.340 Fe
0.093 0.093 0.091 Fe
0.500 0.000 0.500 N
0.000 0.500 0.500 N
0.343 0.343 0.340 Gd
0.657 0.657 0.660 Gd
```

Output
space-group type = C2/m



Entry 5:
The following is a PBE calculation of Na4Zr2Ge5HO16 after structural relaxation, from the Materials Project database.

The structure in POSCAR format:
```
Na4Zr2Ge5HO16
1.0
-2.550 -3.194 -3.729
2.646 -5.847 3.199
-14.255 -6.012 14.899
Na Zr O H Ge
8 4 32 2 10
Direct
0.260 0.615 0.027 Na
0.495 0.241 0.791 Na
0.740 0.385 0.973 Na
0.260 0.385 0.473 Na
0.505 0.241 0.291 Na
0.505 0.759 0.209 Na
0.495 0.759 0.709 Na
0.740 0.615 0.527 Na
0.264 0.887 0.411 Zr
0.736 0.113 0.589 Zr
0.736 0.887 0.911 Zr
0.264 0.113 0.089 Zr
0.332 0.746 0.511 O
0.544 0.343 0.610 O
0.668 0.254 0.489 O
0.788 0.799 0.282 O
0.212 0.201 0.718 O
0.668 0.746 0.011 O
0.789 0.412 0.352 O
0.591 0.042 0.393 O
0.910 0.118 0.935 O
0.456 0.343 0.110 O
0.090 0.882 0.065 O
0.211 0.588 0.648 O
0.967 0.313 0.079 O
0.967 0.687 0.421 O
0.591 0.958 0.107 O
0.332 0.254 0.989 O
0.211 0.412 0.852 O
0.033 0.313 0.579 O
0.829 0.034 0.812 O
0.409 0.042 0.893 O
0.090 0.118 0.435 O
0.456 0.657 0.390 O
0.829 0.966 0.688 O
0.409 0.958 0.607 O
0.544 0.657 0.890 O
0.033 0.687 0.921 O
0.171 0.034 0.312 O
0.212 0.799 0.782 O
0.789 0.588 0.148 O
0.910 0.882 0.565 O
0.788 0.201 0.218 O
0.171 0.966 0.188 O
0.822 0.500 0.750 H
0.178 0.500 0.250 H
0.213 0.807 0.578 Ge
0.007 0.000 0.750 Ge
0.993 0.000 0.250 Ge
0.756 0.646 0.365 Ge
0.756 0.354 0.135 Ge
0.244 0.646 0.865 Ge
0.787 0.807 0.078 Ge
0.787 0.193 0.422 Ge
0.244 0.354 0.635 Ge
0.213 0.193 0.922 Ge
```

Output
space-group type = P2/c



Entry 6:
The following is a PBE calculation of LiNd4Rh4O12 after structural relaxation, from the Materials Project database.

The structure in POSCAR format:
```
LiNd4Rh4O12
1.0
-4.358 0.203 -3.202
-1.902 -5.539 2.040
-3.955 3.421 5.599
Rh Nd O Li
4 4 12 1
Direct
0.996 0.498 0.493 Rh
0.505 0.998 0.999 Rh
0.505 0.998 0.501 Rh
0.996 0.498 0.007 Rh
0.972 0.916 0.250 Nd
0.532 0.410 0.250 Nd
0.451 0.588 0.750 Nd
0.049 0.125 0.750 Nd
0.327 0.308 0.553 O
0.673 0.690 0.446 O
0.863 0.462 0.750 O
0.825 0.191 0.446 O
0.126 0.549 0.250 O
0.648 0.943 0.750 O
0.673 0.690 0.054 O
0.168 0.806 0.940 O
0.168 0.806 0.560 O
0.373 0.049 0.250 O
0.327 0.308 0.947 O
0.825 0.191 0.054 O
0.925 0.745 0.750 Li
```

Output
polymorph energy (0 for the lowest one) = 0.000 eV/atom
space-group type = Pm



Entry 7:
The following is a PBE calculation of CaCeRh2 after structural relaxation, from the Materials Project database.

The structure in POSCAR format:
```
CaCeRh2
1.0
-3.818 -3.045 -0.172
-4.488 1.650 1.005
-3.304 0.425 -3.575
Ca Rh Ce
1 2 1
Direct
0.500 0.500 0.500 Ca
0.250 0.250 0.250 Rh
0.750 0.750 0.750 Rh
0.000 0.000 0.000 Ce
```

Output
space-group type = Fm-3m



Entry 8:
The following is a PBE calculation of LaCeCu4Si4 after structural relaxation, from the Materials Project database.

The structure in POSCAR format:
```
LaCeCu4Si4
1.0
4.110 0.000 0.000
0.000 4.110 0.000
0.000 0.000 9.869
Si Cu La Ce
4 4 1 1
Direct
0.000 0.000 0.377 Si
0.000 0.000 0.623 Si
0.500 0.500 0.120 Si
0.500 0.500 0.880 Si
0.500 0.000 0.249 Cu
0.000 0.500 0.751 Cu
0.500 0.000 0.751 Cu
0.000 0.500 0.249 Cu
0.500 0.500 0.500 La
0.000 0.000 0.000 Ce
```

Output
space-group type = P4/mmm



Entry 9:
The following is a PBE calculation of Na5Hf2F13 after structural relaxation, from the Materials Project database.

The structure in POSCAR format:
```
Na5Hf2F13
1.0
2.778 5.841 0.000
-2.778 5.841 0.000
0.000 1.077 8.430
F Na Hf
13 5 2
Direct
0.910 0.356 0.071 F
0.090 0.644 0.929 F
0.297 0.824 0.750 F
0.000 0.000 0.500 F
0.945 0.416 0.356 F
0.824 0.297 0.750 F
0.055 0.584 0.644 F
0.176 0.703 0.250 F
0.584 0.055 0.644 F
0.644 0.090 0.929 F
0.356 0.910 0.071 F
0.703 0.176 0.250 F
0.416 0.945 0.356 F
0.778 0.778 0.155 Na
0.222 0.222 0.845 Na
0.663 0.663 0.571 Na
0.337 0.337 0.429 Na
0.500 0.500 0.000 Na
0.927 0.927 0.743 Hf
0.073 0.073 0.257 Hf
```

Output
space-group type = C2/m



Entry 10:
The following is a PBE calculation of La2CdRh2 after structural relaxation, from the Materials Project database.

The structure in POSCAR format:
```
La2CdRh2
1.0
7.819 0.000 0.000
0.000 7.819 0.000
0.000 0.000 3.899
Rh La Cd
4 4 2
Direct
0.138 0.638 0.000 Rh
0.638 0.862 0.000 Rh
0.362 0.138 0.000 Rh
0.862 0.362 0.000 Rh
0.165 0.335 0.500 La
0.335 0.835 0.500 La
0.835 0.665 0.500 La
0.665 0.165 0.500 La
0.500 0.500 0.000 Cd
0.000 0.000 0.000 Cd
```

Output
space-group type = P4/mbm



Entry 11:
The following is a PBE calculation of Hf3C after structural relaxation, from the Materials Project database.

The structure in POSCAR format:
```
Hf3C
1.0
-1.965 1.965 4.560
1.965 -1.965 4.560
1.965 1.965 -4.560
Hf C
3 1
Direct
0.500 0.500 0.000 Hf
0.250 0.750 0.500 Hf
0.750 0.250 0.500 Hf
0.000 0.000 0.000 C
```

Output
space-group type = I4/mmm



Entry 12:
The following is a PBE calculation of K3HoSi3O9 after structural relaxation, from the Materials Project database.

The structure in POSCAR format:
```
K3HoSi3O9
1.0
-8.079 11.097 -2.144
-6.904 -2.344 13.883
3.829 3.262 2.455
Si K O Ho
12 12 36 4
Direct
0.887 0.869 0.936 Si
0.120 0.450 0.066 Si
0.613 0.369 0.064 Si
0.387 0.369 0.064 Si
0.620 0.950 0.934 Si
0.283 0.765 0.056 Si
0.783 0.265 0.944 Si
0.880 0.450 0.066 Si
0.113 0.869 0.936 Si
0.717 0.765 0.056 Si
0.380 0.950 0.934 Si
0.217 0.265 0.944 Si
0.239 0.640 0.584 K
0.739 0.140 0.416 K
0.500 0.515 0.564 K
0.000 0.611 0.932 K
0.000 0.015 0.436 K
0.000 0.243 0.079 K
0.261 0.140 0.416 K
0.500 0.111 0.068 K
0.500 0.743 0.921 K
0.000 0.815 0.432 K
0.500 0.315 0.568 K
0.761 0.640 0.584 K
0.671 0.274 0.058 O
0.657 0.995 0.693 O
0.500 0.943 0.935 O
0.154 0.495 0.819 O
0.370 0.416 0.317 O
0.843 0.495 0.307 O
0.342 0.848 0.925 O
0.000 0.831 0.937 O
0.130 0.916 0.683 O
0.630 0.416 0.317 O
0.171 0.774 0.942 O
0.000 0.443 0.065 O
0.133 0.922 0.179 O
0.157 0.495 0.307 O
0.633 0.422 0.821 O
0.846 0.495 0.819 O
0.669 0.678 0.978 O
0.654 0.995 0.181 O
0.867 0.922 0.179 O
0.780 0.285 0.656 O
0.169 0.178 0.022 O
0.329 0.274 0.058 O
0.158 0.348 0.075 O
0.280 0.785 0.344 O
0.829 0.774 0.942 O
0.367 0.422 0.821 O
0.870 0.916 0.683 O
0.831 0.178 0.022 O
0.346 0.995 0.181 O
0.343 0.995 0.693 O
0.331 0.678 0.978 O
0.500 0.331 0.063 O
0.720 0.785 0.344 O
0.658 0.848 0.925 O
0.842 0.348 0.075 O
0.220 0.285 0.656 O
0.759 0.417 0.561 Ho
0.241 0.417 0.561 Ho
0.741 0.917 0.439 Ho
0.259 0.917 0.439 Ho
```

Output
polymorph energy (0 for the lowest one) = 0.132 eV/atom
space-group type = Pmn2_1



no.,energy of formation (eV/atom)
1,-1.788
2,-3.054
3,-0.574
4,-0.166
5,-2.347
6,-2.385
7,-0.554
8,-0.551
9,-3.646
10,-0.647
11,0.854
12,-2.989